[1]
Sr2Nb2O7 | PBE | optimized geometry

a b c (Å): 27.352 7.976 5.802
angles (deg): 90.00 90.00 90.00
Sites, in units of the cell vectors:
Sr  0.037  0.125  0.000
Sr  0.049  0.621  0.043
Sr  0.195  0.625  0.588
Sr  0.202  0.125  0.586
Sr  0.298  0.625  0.086
Sr  0.305  0.125  0.088
Sr  0.451  0.121  0.543
Sr  0.463  0.625  0.500
Sr  0.537  0.375  0.000
Sr  0.549  0.879  0.043
Sr  0.695  0.875  0.588
Sr  0.702  0.375  0.586
Sr  0.798  0.875  0.086
Sr  0.805  0.375  0.088
Sr  0.951  0.379  0.543
Sr  0.963  0.875  0.500
Nb  0.088  0.371  0.550
Nb  0.089  0.876  0.551
Nb  0.191  0.378  0.082
Nb  0.192  0.872  0.081
Nb  0.308  0.372  0.581
Nb  0.309  0.878  0.582
Nb  0.411  0.376  0.051
Nb  0.412  0.871  0.050
Nb  0.588  0.129  0.550
Nb  0.589  0.624  0.551
Nb  0.691  0.122  0.082
Nb  0.692  0.628  0.081
Nb  0.808  0.128  0.581
Nb  0.809  0.622  0.582
Nb  0.911  0.124  0.051
Nb  0.912  0.629  0.050
O  0.034  0.388  0.757
O  0.038  0.861  0.768
O  0.049  0.892  0.292
O  0.053  0.355  0.280
O  0.099  0.624  0.535
O  0.100  0.125  0.626
O  0.139  0.411  0.884
O  0.140  0.840  0.880
O  0.158  0.361  0.389
O  0.158  0.889  0.387
O  0.198  0.125  0.059
O  0.204  0.625  0.153
O  0.242  0.399  0.836
O  0.242  0.851  0.836
O  0.258  0.351  0.336
O  0.258  0.899  0.336
O  0.296  0.125  0.653
O  0.302  0.625  0.559
O  0.342  0.389  0.887
O  0.342  0.861  0.889
O  0.360  0.340  0.380
O  0.361  0.911  0.384
O  0.400  0.625  0.126
O  0.401  0.124  0.035
O  0.447  0.855  0.780
O  0.451  0.392  0.792
O  0.462  0.361  0.268
O  0.466  0.888  0.257
O  0.534  0.112  0.757
O  0.538  0.639  0.768
O  0.549  0.608  0.292
O  0.553  0.145  0.280
O  0.599  0.876  0.535
O  0.600  0.375  0.626
O  0.639  0.089  0.884
O  0.640  0.660  0.880
O  0.658  0.139  0.389
O  0.658  0.611  0.387
O  0.698  0.375  0.059
O  0.704  0.875  0.153
O  0.742  0.101  0.836
O  0.742  0.649  0.836
O  0.758  0.149  0.336
O  0.758  0.601  0.336
O  0.796  0.375  0.653
O  0.802  0.875  0.559
O  0.842  0.111  0.887
O  0.842  0.639  0.889
O  0.860  0.160  0.380
O  0.861  0.589  0.384
O  0.900  0.875  0.126
O  0.901  0.376  0.035
O  0.947  0.645  0.780
O  0.951  0.108  0.792
O  0.962  0.139  0.268
O  0.966  0.612  0.257

## Properties
As for the energy of formation from the pure elements: -3.2998 eV per atom. As for the symmetry: Pna2_1.



[2]
Na3Mg2Ta4P9O36 | PBE | optimized geometry

a b c (Å): 8.726 8.726 22.722
angles (deg): 90.00 90.00 120.00
Sites, in units of the cell vectors:
Na  0.000  0.000  0.000
Na  0.000  0.000  0.500
Na  0.333  0.667  0.155
Na  0.333  0.667  0.655
Na  0.667  0.333  0.326
Na  0.667  0.333  0.826
Mg  0.333  0.667  0.019
Mg  0.333  0.667  0.519
Mg  0.667  0.333  0.187
Mg  0.667  0.333  0.687
Ta  0.000  0.000  0.142
Ta  0.000  0.000  0.353
Ta  0.000  0.000  0.642
Ta  0.000  0.000  0.853
Ta  0.333  0.667  0.311
Ta  0.333  0.667  0.811
Ta  0.667  0.333  0.481
Ta  0.667  0.333  0.981
P  0.046  0.381  0.417
P  0.046  0.665  0.917
P  0.290  0.003  0.749
P  0.290  0.288  0.249
P  0.335  0.381  0.917
P  0.335  0.954  0.417
P  0.382  0.041  0.086
P  0.382  0.341  0.586
P  0.619  0.665  0.417
P  0.619  0.954  0.917
P  0.659  0.041  0.586
P  0.659  0.618  0.086
P  0.712  0.003  0.249
P  0.712  0.710  0.749
P  0.959  0.341  0.086
P  0.959  0.618  0.586
P  0.997  0.288  0.749
P  0.997  0.710  0.249
O  0.017  0.191  0.405
O  0.017  0.827  0.905
O  0.030  0.200  0.694
O  0.030  0.830  0.194
O  0.134  0.495  0.361
O  0.134  0.639  0.861
O  0.142  0.492  0.075
O  0.142  0.650  0.575
O  0.155  0.453  0.471
O  0.155  0.702  0.971
O  0.170  0.200  0.194
O  0.170  0.970  0.694
O  0.172  0.470  0.758
O  0.172  0.701  0.258
O  0.173  0.191  0.905
O  0.173  0.983  0.405
O  0.191  0.016  0.804
O  0.191  0.174  0.304
O  0.194  0.033  0.090
O  0.194  0.161  0.590
O  0.298  0.453  0.971
O  0.298  0.845  0.471
O  0.299  0.470  0.258
O  0.299  0.828  0.758
O  0.350  0.492  0.575
O  0.350  0.858  0.075
O  0.361  0.495  0.861
O  0.361  0.866  0.361
O  0.468  0.163  0.028
O  0.468  0.305  0.528
O  0.470  0.163  0.746
O  0.470  0.307  0.246
O  0.487  0.129  0.139
O  0.487  0.358  0.639
O  0.501  0.143  0.422
O  0.501  0.358  0.922
O  0.505  0.639  0.361
O  0.505  0.866  0.861
O  0.508  0.650  0.075
O  0.508  0.858  0.575
O  0.530  0.701  0.758
O  0.530  0.828  0.258
O  0.547  0.702  0.471
O  0.547  0.845  0.971
O  0.642  0.129  0.639
O  0.642  0.143  0.922
O  0.642  0.499  0.422
O  0.642  0.513  0.139
O  0.693  0.163  0.246
O  0.693  0.530  0.746
O  0.695  0.163  0.528
O  0.695  0.532  0.028
O  0.800  0.830  0.694
O  0.800  0.970  0.194
O  0.809  0.827  0.405
O  0.809  0.983  0.905
O  0.826  0.016  0.304
O  0.826  0.809  0.804
O  0.837  0.305  0.028
O  0.837  0.307  0.746
O  0.837  0.530  0.246
O  0.837  0.532  0.528
O  0.839  0.033  0.590
O  0.839  0.806  0.090
O  0.857  0.358  0.422
O  0.857  0.499  0.922
O  0.871  0.358  0.139
O  0.871  0.513  0.639
O  0.967  0.161  0.090
O  0.967  0.806  0.590
O  0.984  0.174  0.804
O  0.984  0.809  0.304

## Properties
As for the energy of formation from the pure elements: -2.9500 eV per atom. As for the symmetry: P3c1.



[3]
Na6Mg4Si3Sn4S9O48 | PBE | optimized geometry

a b c (Å): 8.802 15.317 22.781
angles (deg): 89.99 89.91 89.84
Sites, in units of the cell vectors:
Na  0.000  0.000  0.000
Na  0.001  0.314  0.838
Na  0.025  0.658  0.171
Na  0.030  0.670  0.663
Na  0.031  0.984  0.495
Na  0.145  0.498  0.239
Na  0.382  0.992  0.740
Na  0.483  0.173  0.166
Na  0.488  0.485  0.000
Na  0.509  0.798  0.330
Na  0.512  0.161  0.661
Na  0.515  0.500  0.494
Na  0.530  0.824  0.840
Na  0.640  0.995  0.250
Na  0.651  0.664  0.914
Na  0.860  0.166  0.408
Na  0.873  0.494  0.750
Na  0.987  0.331  0.336
Mg  0.003  0.332  0.479
Mg  0.003  0.665  0.313
Mg  0.007  0.665  0.818
Mg  0.009  0.325  0.682
Mg  0.013  0.991  0.349
Mg  0.024  0.327  0.178
Mg  0.492  0.824  0.676
Mg  0.502  0.816  0.187
Mg  0.504  0.491  0.850
Mg  0.507  0.167  0.316
Mg  0.513  0.831  0.982
Mg  0.521  0.167  0.817
Si  0.152  0.475  0.082
Si  0.161  0.176  0.084
Si  0.353  0.677  0.584
Si  0.355  0.644  0.253
Si  0.369  0.977  0.584
Si  0.656  0.307  0.415
Si  0.721  0.667  0.416
Si  0.801  0.168  0.916
Si  0.857  0.804  0.916
Sn  0.011  0.660  0.514
Sn  0.014  0.662  0.017
Sn  0.015  0.319  0.986
Sn  0.017  0.993  0.644
Sn  0.017  0.997  0.147
Sn  0.489  0.496  0.147
Sn  0.499  0.819  0.482
Sn  0.501  0.497  0.646
Sn  0.502  0.163  0.514
Sn  0.511  0.159  0.017
Sn  0.524  0.501  0.356
Sn  0.993  0.994  0.859
S  0.153  0.811  0.414
S  0.153  0.848  0.751
S  0.155  0.141  0.751
S  0.155  0.511  0.414
S  0.209  0.158  0.414
S  0.209  0.493  0.751
S  0.219  0.828  0.083
S  0.298  0.327  0.584
S  0.306  0.658  0.914
S  0.307  0.996  0.251
S  0.362  0.310  0.913
S  0.362  0.345  0.251
S  0.364  0.013  0.911
S  0.651  0.348  0.747
S  0.654  0.971  0.086
S  0.655  0.680  0.081
S  0.656  0.011  0.413
S  0.657  0.641  0.751
S  0.714  0.329  0.085
S  0.716  0.993  0.747
S  0.800  0.828  0.585
S  0.801  0.489  0.246
S  0.858  0.141  0.251
S  0.860  0.511  0.912
S  0.862  0.181  0.583
S  0.862  0.472  0.587
S  0.866  0.851  0.246
O  0.080  0.575  0.074
O  0.082  0.899  0.409
O  0.084  0.098  0.803
O  0.084  0.227  0.743
O  0.084  0.886  0.696
O  0.086  0.424  0.422
O  0.086  0.762  0.758
O  0.087  0.076  0.086
O  0.088  0.211  0.022
O  0.091  0.439  0.144
O  0.093  0.553  0.362
O  0.097  0.774  0.471
O  0.101  0.083  0.409
O  0.110  0.414  0.745
O  0.110  0.571  0.755
O  0.113  0.906  0.086
O  0.117  0.238  0.422
O  0.117  0.418  0.022
O  0.121  0.756  0.364
O  0.122  0.747  0.081
O  0.122  0.910  0.801
O  0.132  0.083  0.697
O  0.132  0.565  0.469
O  0.134  0.231  0.142
O  0.165  0.666  0.576
O  0.171  0.647  0.257
O  0.178  0.987  0.584
O  0.193  0.321  0.917
O  0.194  0.005  0.908
O  0.194  0.343  0.246
O  0.207  0.320  0.638
O  0.207  0.336  0.531
O  0.207  0.984  0.301
O  0.209  0.666  0.862
O  0.216  0.011  0.195
O  0.216  0.639  0.968
O  0.297  0.137  0.470
O  0.299  0.506  0.695
O  0.307  0.837  0.029
O  0.308  0.165  0.364
O  0.310  0.481  0.801
O  0.312  0.823  0.136
O  0.320  0.844  0.747
O  0.322  0.146  0.756
O  0.322  0.500  0.412
O  0.323  0.823  0.417
O  0.341  0.481  0.081
O  0.349  0.165  0.076
O  0.371  0.579  0.193
O  0.374  0.730  0.643
O  0.388  0.068  0.964
O  0.391  0.255  0.862
O  0.396  0.246  0.582
O  0.397  0.738  0.921
O  0.398  0.401  0.301
O  0.402  0.404  0.588
O  0.402  0.916  0.526
O  0.404  0.075  0.256
O  0.407  0.919  0.243
O  0.414  0.583  0.908
O  0.421  0.270  0.969
O  0.423  0.054  0.857
O  0.424  0.256  0.256
O  0.427  0.577  0.586
O  0.427  0.943  0.647
O  0.428  0.715  0.524
O  0.429  0.926  0.919
O  0.432  0.381  0.195
O  0.433  0.397  0.908
O  0.433  0.592  0.309
O  0.437  0.737  0.247
O  0.441  0.076  0.575
O  0.569  0.401  0.409
O  0.577  0.268  0.477
O  0.579  0.262  0.751
O  0.585  0.389  0.691
O  0.587  0.925  0.422
O  0.590  0.063  0.083
O  0.590  0.728  0.743
O  0.591  0.050  0.360
O  0.593  0.588  0.086
O  0.594  0.599  0.804
O  0.594  0.717  0.026
O  0.597  0.932  0.141
O  0.609  0.581  0.417
O  0.611  0.252  0.080
O  0.615  0.409  0.090
O  0.616  0.070  0.751
O  0.616  0.757  0.422
O  0.617  0.732  0.133
O  0.618  0.922  0.033
O  0.623  0.405  0.797
O  0.625  0.913  0.743
O  0.632  0.580  0.698
O  0.634  0.070  0.466
O  0.637  0.237  0.363
O  0.675  0.816  0.924
O  0.690  0.144  0.254
O  0.690  0.478  0.589
O  0.691  0.505  0.907
O  0.694  0.172  0.581
O  0.699  0.848  0.239
O  0.702  0.148  0.976
O  0.702  0.499  0.193
O  0.707  0.473  0.300
O  0.707  0.820  0.637
O  0.709  0.179  0.856
O  0.713  0.841  0.530
O  0.799  0.343  0.029
O  0.811  0.317  0.136
O  0.813  0.651  0.480
O  0.813  0.983  0.800
O  0.814  0.007  0.693
O  0.819  0.341  0.740
O  0.823  0.676  0.360
O  0.825  0.004  0.408
O  0.825  0.673  0.079
O  0.826  0.644  0.753
O  0.826  0.979  0.088
O  0.838  0.317  0.424
O  0.877  0.741  0.860
O  0.884  0.570  0.964
O  0.885  0.081  0.198
O  0.893  0.568  0.251
O  0.895  0.909  0.297
O  0.899  0.231  0.637
O  0.900  0.420  0.535
O  0.900  0.910  0.588
O  0.901  0.411  0.242
O  0.903  0.257  0.923
O  0.904  0.752  0.581
O  0.918  0.433  0.642
O  0.919  0.083  0.915
O  0.922  0.099  0.304
O  0.925  0.218  0.529
O  0.925  0.227  0.243
O  0.925  0.549  0.858
O  0.925  0.562  0.583
O  0.927  0.089  0.588
O  0.928  0.424  0.920
O  0.931  0.764  0.251
O  0.936  0.762  0.976
O  0.937  0.891  0.191
O  0.946  0.899  0.913

## Properties
As for the energy of formation from the pure elements: -2.2641 eV per atom. As for the symmetry: P1.